Entry 1:
Compound: NdAl8Cu4
Source: the Materials Project
Functional: GGA-PBE
Structure: relaxed

Total energy (eV/atom): -4.25

Geometry as CIF:
```
data_NdAl8Cu4
_chemical_formula_sum 'Nd2 Al16 Cu8'
_cell_length_a 8.9013
_cell_length_b 8.9013
_cell_length_c 5.1991
_cell_angle_alpha 90.00
_cell_angle_beta 90.00
_cell_angle_gamma 90.00
_symmetry_space_group_name_H-M 'I 4/m m m'
_symmetry_Int_Tables_number 139
_symmetry_space_group_name_Hall '-I 4 2'
loop_
_atom_site_label
_atom_site_type_symbol
_atom_site_fract_x
_atom_site_fract_y
_atom_site_fract_z
Nd1 Nd 0.0000 0.0000 0.0000
Al1 Al 0.0000 0.2212 0.5000
Al2 Al 0.0000 0.3489 0.0000
Cu1 Cu 0.2500 0.2500 0.2500
```

***

Entry 2:
Compound: HoBO3
Source: the Materials Project
Functional: GGA-PBE
Structure: relaxed

Total energy (eV/atom): -8.31

Geometry as CIF:
```
data_HoBO3
_chemical_formula_sum 'Ho12 B12 O36'
_cell_length_a 7.2280
_cell_length_b 9.0211
_cell_length_c 9.8740
_cell_angle_alpha 81.35
_cell_angle_beta 85.65
_cell_angle_gamma 77.18
_symmetry_space_group_name_H-M 'P -1'
_symmetry_Int_Tables_number 2
loop_
_symmetry_equiv_pos_as_xyz
'x,y,z'
'-x,-y,-z'
loop_
_atom_site_label
_atom_site_type_symbol
_atom_site_fract_x
_atom_site_fract_y
_atom_site_fract_z
Ho1 Ho 0.0661 0.0585 0.1576
Ho2 Ho 0.0739 0.5562 0.6554
Ho3 Ho 0.2375 0.9393 0.5289
Ho4 Ho 0.2503 0.4549 0.0211
Ho5 Ho 0.4012 0.0645 0.8295
Ho6 Ho 0.4018 0.5678 0.3373
B1 B 0.0223 0.2153 0.5770
B2 B 0.0335 0.7209 0.1137
B3 B 0.2799 0.7172 0.8083
B4 B 0.3320 0.2287 0.2944
B5 B 0.3842 0.2429 0.5519
B6 B 0.3923 0.7473 0.0523
O1 O 0.0281 0.1889 0.4279
O2 O 0.0472 0.4051 0.8737
O3 O 0.0658 0.1313 0.9165
O4 O 0.0655 0.9058 0.3516
O5 O 0.0716 0.6274 0.4129
O6 O 0.0922 0.6849 0.8674
O7 O 0.2277 0.1766 0.6274
O8 O 0.2310 0.6827 0.1362
O9 O 0.2529 0.8837 0.7651
O10 O 0.2542 0.3839 0.2621
O11 O 0.3331 0.1334 0.1971
O12 O 0.3435 0.6283 0.6952
O13 O 0.3470 0.4089 0.5360
O14 O 0.3502 0.9121 0.0354
O15 O 0.4182 0.1647 0.4193
O16 O 0.4189 0.6612 0.9276
O17 O 0.4366 0.3154 0.8700
O18 O 0.4431 0.8196 0.3724
```

***

Table of formation enthalpy at 0 K (eV/atom), in record order: -0.31, -3.50